Record 1
Compound: Ba7SrCu8O20
Source: Materials Project
Functional: GGA-PBE
Structure: relaxed

Crystal system ... triclinic
E (MP2020) ... -5.906 eV/atom
ΔH_f (0 K) ... -1.826 eV/atom
M_tot ... 0.0 μB/f.u.

abc: 11.344 11.356 18.775
angles: 107.58 107.56 90.02
Space group P1 (No. 1)
Symmetry-distinct sites (fractional):
1 Ba 0.000 0.000 0.000 [1 per cell]
2 Ba 0.000 0.001 0.504 [1 per cell]
3 Ba 0.000 0.503 0.504 [1 per cell]
4 Ba 0.001 0.501 0.001 [1 per cell]
5 Ba 0.116 0.114 0.227 [1 per cell]
6 Ba 0.116 0.116 0.732 [1 per cell]
7 Ba 0.116 0.617 0.732 [1 per cell]
8 Ba 0.117 0.614 0.227 [1 per cell]
9 Ba 0.252 0.251 0.503 [1 per cell]
10 Ba 0.253 0.752 0.503 [1 per cell]
11 Ba 0.364 0.364 0.228 [1 per cell]
12 Ba 0.364 0.365 0.729 [1 per cell]
13 Ba 0.364 0.865 0.228 [1 per cell]
14 Ba 0.365 0.866 0.730 [1 per cell]
15 Ba 0.500 0.501 0.002 [1 per cell]
16 Ba 0.501 0.503 0.504 [1 per cell]
17 Ba 0.502 0.001 0.503 [1 per cell]
18 Ba 0.613 0.114 0.227 [1 per cell]
19 Ba 0.614 0.614 0.228 [1 per cell]
20 Ba 0.616 0.115 0.730 [1 per cell]
21 Ba 0.617 0.616 0.731 [1 per cell]
22 Ba 0.751 0.752 0.003 [1 per cell]
23 Ba 0.752 0.251 0.002 [1 per cell]
24 Ba 0.753 0.252 0.503 [1 per cell]
25 Ba 0.753 0.752 0.503 [1 per cell]
26 Ba 0.863 0.363 0.228 [1 per cell]
27 Ba 0.863 0.865 0.228 [1 per cell]
28 Ba 0.865 0.365 0.730 [1 per cell]
29 Sr 0.253 0.256 0.010 [1 per cell]
30 Sr 0.254 0.757 0.009 [1 per cell]
31 Sr 0.506 0.007 0.009 [1 per cell]
32 Sr 0.864 0.864 0.723 [1 per cell]
33 Cu 0.057 0.307 0.113 [1 per cell]
34 Cu 0.057 0.807 0.112 [1 per cell]
35 Cu 0.059 0.310 0.617 [1 per cell]
36 Cu 0.059 0.810 0.618 [1 per cell]
37 Cu 0.210 0.424 0.366 [1 per cell]
38 Cu 0.210 0.923 0.366 [1 per cell]
39 Cu 0.215 0.423 0.870 [1 per cell]
40 Cu 0.216 0.924 0.871 [1 per cell]
41 Cu 0.303 0.054 0.105 [1 per cell]
42 Cu 0.304 0.556 0.108 [1 per cell]
43 Cu 0.308 0.059 0.616 [1 per cell]
44 Cu 0.308 0.560 0.617 [1 per cell]
45 Cu 0.401 0.171 0.872 [1 per cell]
46 Cu 0.401 0.677 0.870 [1 per cell]
47 Cu 0.406 0.174 0.366 [1 per cell]
48 Cu 0.406 0.674 0.366 [1 per cell]
49 Cu 0.554 0.305 0.108 [1 per cell]
50 Cu 0.554 0.806 0.108 [1 per cell]
51 Cu 0.559 0.310 0.617 [1 per cell]
52 Cu 0.561 0.811 0.620 [1 per cell]
53 Cu 0.709 0.424 0.366 [1 per cell]
54 Cu 0.710 0.924 0.366 [1 per cell]
55 Cu 0.711 0.922 0.864 [1 per cell]
56 Cu 0.713 0.423 0.866 [1 per cell]
57 Cu 0.807 0.058 0.113 [1 per cell]
58 Cu 0.807 0.558 0.114 [1 per cell]
59 Cu 0.810 0.061 0.621 [1 per cell]
60 Cu 0.810 0.562 0.620 [1 per cell]
61 Cu 0.905 0.674 0.365 [1 per cell]
62 Cu 0.906 0.174 0.366 [1 per cell]
63 Cu 0.908 0.169 0.864 [1 per cell]
64 Cu 0.909 0.677 0.866 [1 per cell]
65 O 0.006 0.233 0.968 [1 per cell]
66 O 0.008 0.737 0.970 [1 per cell]
67 O 0.116 0.886 0.768 [1 per cell]
68 O 0.118 0.382 0.261 [1 per cell]
69 O 0.118 0.883 0.261 [1 per cell]
70 O 0.121 0.381 0.765 [1 per cell]
71 O 0.183 0.684 0.114 [1 per cell]
72 O 0.183 0.684 0.619 [1 per cell]
73 O 0.184 0.183 0.618 [1 per cell]
74 O 0.184 0.184 0.114 [1 per cell]
75 O 0.185 0.429 0.114 [1 per cell]
76 O 0.185 0.433 0.618 [1 per cell]
77 O 0.185 0.929 0.113 [1 per cell]
78 O 0.185 0.934 0.619 [1 per cell]
79 O 0.222 0.487 0.471 [1 per cell]
80 O 0.222 0.986 0.471 [1 per cell]
81 O 0.227 0.495 0.975 [1 per cell]
82 O 0.229 0.996 0.977 [1 per cell]
83 O 0.260 0.769 0.875 [1 per cell]
84 O 0.266 0.270 0.876 [1 per cell]
85 O 0.272 0.273 0.365 [1 per cell]
86 O 0.272 0.773 0.366 [1 per cell]
87 O 0.345 0.024 0.366 [1 per cell]
88 O 0.345 0.523 0.366 [1 per cell]
89 O 0.347 0.521 0.866 [1 per cell]
90 O 0.359 0.015 0.873 [1 per cell]
91 O 0.392 0.135 0.768 [1 per cell]
92 O 0.392 0.637 0.765 [1 per cell]
93 O 0.394 0.132 0.261 [1 per cell]
94 O 0.394 0.633 0.261 [1 per cell]
95 O 0.427 0.428 0.110 [1 per cell]
96 O 0.428 0.930 0.107 [1 per cell]
97 O 0.429 0.683 0.110 [1 per cell]
98 O 0.430 0.178 0.107 [1 per cell]
99 O 0.432 0.432 0.615 [1 per cell]
100 O 0.432 0.933 0.616 [1 per cell]
101 O 0.433 0.181 0.615 [1 per cell]
102 O 0.434 0.682 0.616 [1 per cell]
103 O 0.496 0.746 0.974 [1 per cell]
104 O 0.498 0.237 0.471 [1 per cell]
105 O 0.499 0.235 0.977 [1 per cell]
106 O 0.499 0.737 0.471 [1 per cell]
107 O 0.617 0.382 0.261 [1 per cell]
108 O 0.617 0.883 0.261 [1 per cell]
109 O 0.618 0.881 0.759 [1 per cell]
110 O 0.619 0.382 0.762 [1 per cell]
111 O 0.680 0.179 0.115 [1 per cell]
112 O 0.681 0.935 0.114 [1 per cell]
113 O 0.682 0.683 0.116 [1 per cell]
114 O 0.683 0.183 0.618 [1 per cell]
115 O 0.684 0.433 0.117 [1 per cell]
116 O 0.685 0.434 0.619 [1 per cell]
117 O 0.688 0.688 0.622 [1 per cell]
118 O 0.689 0.933 0.621 [1 per cell]
119 O 0.714 0.988 0.967 [1 per cell]
120 O 0.723 0.486 0.971 [1 per cell]
121 O 0.723 0.487 0.471 [1 per cell]
122 O 0.723 0.986 0.471 [1 per cell]
123 O 0.771 0.273 0.365 [1 per cell]
124 O 0.771 0.773 0.365 [1 per cell]
125 O 0.774 0.775 0.869 [1 per cell]
126 O 0.777 0.274 0.867 [1 per cell]
127 O 0.844 0.024 0.366 [1 per cell]
128 O 0.844 0.524 0.366 [1 per cell]
129 O 0.844 0.527 0.866 [1 per cell]
130 O 0.849 0.014 0.859 [1 per cell]
131 O 0.891 0.127 0.758 [1 per cell]
132 O 0.891 0.641 0.760 [1 per cell]
133 O 0.894 0.132 0.261 [1 per cell]
134 O 0.894 0.633 0.261 [1 per cell]
135 O 0.931 0.931 0.113 [1 per cell]
136 O 0.932 0.431 0.113 [1 per cell]
137 O 0.933 0.180 0.112 [1 per cell]
138 O 0.933 0.433 0.616 [1 per cell]
139 O 0.933 0.931 0.618 [1 per cell]
140 O 0.934 0.182 0.616 [1 per cell]
141 O 0.934 0.681 0.113 [1 per cell]
142 O 0.934 0.687 0.618 [1 per cell]
143 O 0.997 0.737 0.470 [1 per cell]
144 O 0.998 0.237 0.471 [1 per cell]



Record 2
Compound: RbIO2F2
Source: Materials Project
Functional: GGA-PBE
Structure: relaxed

Crystal system ... orthorhombic
E (MP2020) ... -4.568 eV/atom
ΔH_f (0 K) ... -1.864 eV/atom
M_tot ... 0.0 μB/f.u.

abc: 8.757 6.282 8.854
angles: 90.00 90.00 90.00
Space group Pca2_1 (No. 29)
Symmetry-distinct sites (fractional):
1 Rb 0.212 0.028 0.000 [4 per cell]
2 I 0.008 0.445 0.279 [4 per cell]
3 O 0.029 0.635 0.971 [4 per cell]
4 O 0.203 0.357 0.254 [4 per cell]
5 F 0.070 0.846 0.702 [4 per cell]
6 F 0.072 0.743 0.345 [4 per cell]



Record 3
Compound: MgCu10P6O26
Source: Materials Project
Functional: GGA-PBE
Structure: relaxed

Crystal system ... triclinic
E (MP2020) ... -6.579 eV/atom
ΔH_f (0 K) ... -1.841 eV/atom
M_tot ... 2.1 μB/f.u.
Energy above the lowest structure with this stoichiometry ... 0.000 eV/atom

abc: 6.204 8.215 10.177
angles: 89.00 89.94 89.92
Space group P1 (No. 1)
Symmetry-distinct sites (fractional):
1 Mg 0.000 0.000 0.000 [1 per cell]
2 Cu 0.241 0.682 0.680 [1 per cell]
3 Cu 0.247 0.387 0.259 [1 per cell]
4 Cu 0.490 0.975 0.588 [1 per cell]
5 Cu 0.494 0.759 0.014 [1 per cell]
6 Cu 0.501 0.685 0.391 [1 per cell]
7 Cu 0.740 0.683 0.680 [1 per cell]
8 Cu 0.741 0.387 0.258 [1 per cell]
9 Cu 0.981 0.099 0.369 [1 per cell]
10 Cu 0.991 0.331 0.920 [1 per cell]
11 Cu 0.996 0.396 0.544 [1 per cell]
12 P 0.492 0.389 0.989 [1 per cell]
13 P 0.494 0.038 0.246 [1 per cell]
14 P 0.494 0.385 0.581 [1 per cell]
15 P 0.991 0.682 0.950 [1 per cell]
16 P 0.992 0.032 0.690 [1 per cell]
17 P 0.993 0.690 0.352 [1 per cell]
18 O 0.003 0.874 0.340 [1 per cell]
19 O 0.184 0.798 0.981 [1 per cell]
20 O 0.197 0.924 0.681 [1 per cell]
21 O 0.198 0.620 0.281 [1 per cell]
22 O 0.285 0.445 0.654 [1 per cell]
23 O 0.289 0.150 0.259 [1 per cell]
24 O 0.291 0.287 0.957 [1 per cell]
25 O 0.479 0.954 0.114 [1 per cell]
26 O 0.490 0.742 0.579 [1 per cell]
27 O 0.492 0.426 0.143 [1 per cell]
28 O 0.493 0.558 0.918 [1 per cell]
29 O 0.495 0.202 0.569 [1 per cell]
30 O 0.496 0.456 0.437 [1 per cell]
31 O 0.500 0.920 0.367 [1 per cell]
32 O 0.692 0.285 0.956 [1 per cell]
33 O 0.699 0.446 0.655 [1 per cell]
34 O 0.707 0.144 0.249 [1 per cell]
35 O 0.784 0.627 0.282 [1 per cell]
36 O 0.787 0.924 0.680 [1 per cell]
37 O 0.803 0.802 0.984 [1 per cell]
38 O 0.990 0.523 0.029 [1 per cell]
39 O 0.990 0.640 0.800 [1 per cell]
40 O 0.992 0.114 0.828 [1 per cell]
41 O 0.992 0.631 0.499 [1 per cell]
42 O 0.993 0.158 0.576 [1 per cell]
43 O 0.996 0.332 0.356 [1 per cell]



Record 4
Compound: Be3Ag4P3BrO12
Source: Materials Project
Functional: GGA-PBE
Structure: relaxed

Crystal system ... cubic
E (MP2020) ... -6.549 eV/atom
ΔH_f (0 K) ... -2.210 eV/atom
M_tot ... 0.0 μB/f.u.

abc: 8.630 8.630 8.630
angles: 90.00 90.00 90.00
Space group P-43n (No. 218)
Symmetry-distinct sites (fractional):
1 Be 0.000 0.250 0.500 [6 per cell]
2 Ag 0.172 0.172 0.172 [8 per cell]
3 P 0.000 0.500 0.250 [6 per cell]
4 Br 0.000 0.000 0.000 [2 per cell]
5 O 0.047 0.358 0.650 [24 per cell]



Record 5
Compound: VNiGe
Source: Materials Project
Functional: GGA-PBE
Structure: relaxed

Crystal system ... orthorhombic
ΔH_f (0 K) ... -0.333 eV/atom
M_tot ... 0.0 μB/f.u.

abc: 5.994 3.713 7.026
angles: 90.00 90.00 90.00
Space group Pnma (No. 62)
Symmetry-distinct sites (fractional):
1 V 0.026 0.250 0.181 [4 per cell]
2 Ni 0.146 0.250 0.558 [4 per cell]
3 Ge 0.242 0.750 0.376 [4 per cell]



Record 6
Compound: Tm2Si2O7
Source: Materials Project
Functional: GGA-PBE
Structure: relaxed

Crystal system ... triclinic
E (MP2020) ... -8.627 eV/atom
ΔH_f (0 K) ... -3.678 eV/atom
M_tot ... 0.0 μB/f.u.

abc: 6.590 6.624 12.056
angles: 94.06 91.89 92.45
Space group P-1 (No. 2)
Symmetry-distinct sites (fractional):
1 Tm 0.048 0.327 0.114 [2 per cell]
2 Tm 0.120 0.087 0.353 [2 per cell]
3 Tm 0.325 0.826 0.111 [2 per cell]
4 Tm 0.366 0.213 0.635 [2 per cell]
5 Si 0.145 0.623 0.375 [2 per cell]
6 Si 0.157 0.148 0.886 [2 per cell]
7 Si 0.377 0.723 0.593 [2 per cell]
8 Si 0.487 0.665 0.825 [2 per cell]
9 O 0.000 0.334 0.919 [2 per cell]
10 O 0.001 0.983 0.815 [2 per cell]
11 O 0.038 0.229 0.589 [2 per cell]
12 O 0.077 0.409 0.306 [2 per cell]
13 O 0.225 0.902 0.622 [2 per cell]
14 O 0.230 0.082 0.008 [2 per cell]
15 O 0.280 0.572 0.488 [2 per cell]
16 O 0.293 0.782 0.310 [2 per cell]
17 O 0.298 0.704 0.906 [2 per cell]
18 O 0.352 0.210 0.816 [2 per cell]
19 O 0.352 0.487 0.125 [2 per cell]
20 O 0.387 0.134 0.214 [2 per cell]
21 O 0.400 0.563 0.693 [2 per cell]
22 O 0.410 0.175 0.450 [2 per cell]



Record 7
Compound: Zr3Zn3N
Source: Materials Project
Functional: GGA-PBE
Structure: relaxed

Crystal system ... cubic
E (MP2020) ... -6.193 eV/atom
ΔH_f (0 K) ... -0.799 eV/atom

abc: 12.199 12.199 12.199
angles: 90.00 90.00 90.00
Space group Fd-3m (No. 227, origin choice 2)
Symmetry-distinct sites (fractional):
1 Zr 0.061 0.375 0.375 [48 per cell]
2 Zn 0.000 0.000 0.500 [16 per cell]
3 Zn 0.044 0.044 0.706 [32 per cell]
4 N 0.000 0.000 0.000 [16 per cell]



Record 8
Compound: DyS2
Source: Materials Project
Functional: GGA-PBE
Structure: relaxed

Crystal system ... tetragonal
E (MP2020) ... -6.289 eV/atom
ΔH_f (0 K) ... -1.996 eV/atom

abc: 3.857 3.857 7.981
angles: 90.00 90.00 90.00
Space group P4/nmm (No. 129, origin choice 2)
Symmetry-distinct sites (fractional):
1 Dy 0.250 0.250 0.226 [2 per cell]
2 S 0.250 0.250 0.868 [2 per cell]
3 S 0.250 0.750 0.500 [2 per cell]